# 1
Density functional theory data (r2SCAN) for an optimized crystal structure of Yb4S7.

The structure in POSCAR format:
```
Yb4S7
1.0
-2.663 2.663 7.694
2.663 -2.663 7.694
2.663 2.663 -7.694
Yb S
4 7
direct
0.122 0.122 0.514
0.392 0.878 0.000
0.608 0.608 0.486
0.878 0.392 0.000
0.000 0.500 0.500
0.058 0.576 0.000
0.424 0.424 0.482
0.500 0.000 0.500
0.500 0.500 0.000
0.576 0.058 0.000
0.942 0.942 0.518
```

Output
E_form (kJ per mole of atoms): -200.5
E (eV per atom): -20.474

---

# 2
Density functional theory data (r2SCAN) for an optimized crystal structure of YbS.

The structure in POSCAR format:
```
YbS
1.0
5.381 0.000 0.000
0.000 5.381 0.000
0.000 0.000 5.381
Yb S
4 4
direct
0.000 0.000 0.000
0.000 0.500 0.500
0.500 0.000 0.500
0.500 0.500 0.000
0.000 0.000 0.500
0.000 0.500 0.000
0.500 0.000 0.000
0.500 0.500 0.500
```

Output
E_form (kJ per mole of atoms): -208.1
E (eV per atom): -24.438

---

# 3
Density functional theory data (r2SCAN) for an optimized crystal structure of ZnS.

The structure in POSCAR format:
```
ZnS
1.0
3.810 0.000 0.000
-1.905 3.299 0.000
0.000 0.000 43.627
Zn S
14 14
direct
0.000 0.000 0.000
0.000 0.000 0.143
0.000 0.000 0.286
0.000 0.000 0.571
0.000 0.000 0.714
0.333 0.667 0.357
0.333 0.667 0.500
0.333 0.667 0.786
0.333 0.667 0.929
0.667 0.333 0.071
0.667 0.333 0.214
0.667 0.333 0.429
0.667 0.333 0.643
0.667 0.333 0.857
0.000 0.000 0.054
0.000 0.000 0.196
0.000 0.000 0.339
0.000 0.000 0.625
0.000 0.000 0.768
0.333 0.667 0.411
0.333 0.667 0.554
0.333 0.667 0.839
0.333 0.667 0.982
0.667 0.333 0.125
0.667 0.333 0.268
0.667 0.333 0.482
0.667 0.333 0.697
0.667 0.333 0.911
```

Output
E_form (kJ per mole of atoms): -92.8
E (eV per atom): -9.434

---

# 4
Density functional theory data (r2SCAN) for an optimized crystal structure of ZnS.

The structure in POSCAR format:
```
ZnS
1.0
3.809 0.000 0.000
-1.904 3.298 0.000
0.000 0.000 43.589
Zn S
14 14
direct
0.000 0.000 0.000
0.000 0.000 0.143
0.000 0.000 0.286
0.000 0.000 0.500
0.000 0.000 0.643
0.000 0.000 0.857
0.333 0.667 0.357
0.333 0.667 0.571
0.333 0.667 0.786
0.667 0.333 0.071
0.667 0.333 0.214
0.667 0.333 0.429
0.667 0.333 0.714
0.667 0.333 0.929
0.000 0.000 0.054
0.000 0.000 0.196
0.000 0.000 0.339
0.000 0.000 0.554
0.000 0.000 0.696
0.000 0.000 0.911
0.333 0.667 0.411
0.333 0.667 0.625
0.333 0.667 0.839
0.667 0.333 0.125
0.667 0.333 0.268
0.667 0.333 0.482
0.667 0.333 0.768
0.667 0.333 0.982
```

Output
E_form (kJ per mole of atoms): -92.8
E (eV per atom): -9.434

---

# 5
Density functional theory data (r2SCAN) for an optimized crystal structure of ZnS.

The structure in POSCAR format:
```
ZnS
1.0
3.807 0.000 0.000
-1.903 3.297 0.000
0.000 0.000 74.791
Zn S
24 24
direct
0.000 0.000 0.000
0.000 0.000 0.083
0.000 0.000 0.167
0.000 0.000 0.292
0.000 0.000 0.458
0.000 0.000 0.583
0.000 0.000 0.750
0.000 0.000 0.833
0.333 0.667 0.125
0.333 0.667 0.250
0.333 0.667 0.333
0.333 0.667 0.417
0.333 0.667 0.500
0.333 0.667 0.625
0.333 0.667 0.708
0.333 0.667 0.875
0.333 0.667 0.958
0.667 0.333 0.042
0.667 0.333 0.208
0.667 0.333 0.375
0.667 0.333 0.542
0.667 0.333 0.667
0.667 0.333 0.792
0.667 0.333 0.917
0.000 0.000 0.031
0.000 0.000 0.115
0.000 0.000 0.198
0.000 0.000 0.323
0.000 0.000 0.490
0.000 0.000 0.615
0.000 0.000 0.781
0.000 0.000 0.865
0.333 0.667 0.156
0.333 0.667 0.281
0.333 0.667 0.365
0.333 0.667 0.448
0.333 0.667 0.531
0.333 0.667 0.656
0.333 0.667 0.740
0.333 0.667 0.906
0.333 0.667 0.990
0.667 0.333 0.073
0.667 0.333 0.240
0.667 0.333 0.406
0.667 0.333 0.573
0.667 0.333 0.698
0.667 0.333 0.823
0.667 0.333 0.948
```

Output
E_form (kJ per mole of atoms): -92.8
E (eV per atom): -9.434

---

# 6
Density functional theory data (r2SCAN) for an optimized crystal structure of ZnS.

The structure in POSCAR format:
```
ZnS
1.0
3.808 0.000 0.000
-1.904 3.298 0.000
0.000 0.000 56.048
Zn S
18 18
direct
0.000 0.000 0.000
0.000 0.000 0.111
0.000 0.000 0.278
0.000 0.000 0.389
0.000 0.000 0.611
0.000 0.000 0.833
0.333 0.667 0.056
0.333 0.667 0.222
0.333 0.667 0.444
0.333 0.667 0.556
0.333 0.667 0.722
0.333 0.667 0.889
0.667 0.333 0.167
0.667 0.333 0.333
0.667 0.333 0.500
0.667 0.333 0.667
0.667 0.333 0.778
0.667 0.333 0.944
0.000 0.000 0.042
0.000 0.000 0.153
0.000 0.000 0.319
0.000 0.000 0.431
0.000 0.000 0.653
0.000 0.000 0.875
0.333 0.667 0.097
0.333 0.667 0.264
0.333 0.667 0.486
0.333 0.667 0.597
0.333 0.667 0.764
0.333 0.667 0.931
0.667 0.333 0.208
0.667 0.333 0.375
0.667 0.333 0.542
0.667 0.333 0.708
0.667 0.333 0.820
0.667 0.333 0.986
```

Output
E_form (kJ per mole of atoms): -92.8
E (eV per atom): -9.434

---

# 7
Density functional theory data (r2SCAN) for an optimized crystal structure of ZnS.

The structure in POSCAR format:
```
ZnS
1.0
3.807 0.000 0.000
-1.903 3.297 0.000
0.000 0.000 62.295
Zn S
20 20
direct
0.000 0.000 0.000
0.000 0.000 0.100
0.000 0.000 0.200
0.000 0.000 0.400
0.000 0.000 0.550
0.000 0.000 0.700
0.000 0.000 0.850
0.333 0.667 0.150
0.333 0.667 0.300
0.333 0.667 0.450
0.333 0.667 0.600
0.333 0.667 0.800
0.333 0.667 0.950
0.667 0.333 0.050
0.667 0.333 0.250
0.667 0.333 0.350
0.667 0.333 0.500
0.667 0.333 0.650
0.667 0.333 0.750
0.667 0.333 0.900
0.000 0.000 0.037
0.000 0.000 0.137
0.000 0.000 0.237
0.000 0.000 0.437
0.000 0.000 0.587
0.000 0.000 0.738
0.000 0.000 0.887
0.333 0.667 0.188
0.333 0.667 0.338
0.333 0.667 0.487
0.333 0.667 0.637
0.333 0.667 0.837
0.333 0.667 0.987
0.667 0.333 0.088
0.667 0.333 0.287
0.667 0.333 0.387
0.667 0.333 0.537
0.667 0.333 0.687
0.667 0.333 0.788
0.667 0.333 0.937
```

Output
E_form (kJ per mole of atoms): -92.9
E (eV per atom): -9.435

---

# 8
Density functional theory data (r2SCAN) for an optimized crystal structure of ZnS.

The structure in POSCAR format:
```
ZnS
1.0
1.904 1.099 15.571
-1.904 1.099 15.571
0.000 -2.198 15.571
Zn S
5 5
direct
0.000 0.000 0.000
0.133 0.133 0.133
0.267 0.267 0.267
0.533 0.533 0.533
0.733 0.733 0.733
0.083 0.083 0.083
0.217 0.217 0.217
0.483 0.483 0.483
0.683 0.683 0.683
0.950 0.950 0.950
```

Output
E_form (kJ per mole of atoms): -92.8
E (eV per atom): -9.434

---

# 9
Density functional theory data (r2SCAN) for an optimized crystal structure of ZnS.

The structure in POSCAR format:
```
ZnS
1.0
3.809 0.000 0.000
-1.904 3.299 0.000
0.000 0.000 12.453
Zn S
4 4
direct
0.000 0.000 0.000
0.000 0.000 0.500
0.333 0.667 0.250
0.667 0.333 0.750
0.000 0.000 0.187
0.000 0.000 0.687
0.333 0.667 0.438
0.667 0.333 0.938
```

Output
E_form (kJ per mole of atoms): -92.8
E (eV per atom): -9.434

---

# 10
Density functional theory data (r2SCAN) for an optimized crystal structure of ZnS.

The structure in POSCAR format:
```
ZnS
1.0
3.808 0.000 0.000
-1.904 3.298 0.000
0.000 0.000 56.041
Zn S
18 18
direct
0.000 0.000 0.000
0.000 0.000 0.111
0.000 0.000 0.333
0.000 0.000 0.500
0.000 0.000 0.667
0.000 0.000 0.833
0.333 0.667 0.056
0.333 0.667 0.222
0.333 0.667 0.389
0.333 0.667 0.556
0.333 0.667 0.722
0.333 0.667 0.889
0.667 0.333 0.167
0.667 0.333 0.278
0.667 0.333 0.444
0.667 0.333 0.611
0.667 0.333 0.778
0.667 0.333 0.944
0.000 0.000 0.042
0.000 0.000 0.153
0.000 0.000 0.375
0.000 0.000 0.542
0.000 0.000 0.708
0.000 0.000 0.875
0.333 0.667 0.097
0.333 0.667 0.264
0.333 0.667 0.431
0.333 0.667 0.597
0.333 0.667 0.764
0.333 0.667 0.931
0.667 0.333 0.208
0.667 0.333 0.319
0.667 0.333 0.486
0.667 0.333 0.653
0.667 0.333 0.819
0.667 0.333 0.986
```

Output
E_form (kJ per mole of atoms): -92.9
E (eV per atom): -9.435

---

# 11
Density functional theory data (r2SCAN) for an optimized crystal structure of ZnS.

The structure in POSCAR format:
```
ZnS
1.0
3.808 0.000 0.000
-1.904 3.298 0.000
0.000 0.000 43.625
Zn S
14 14
direct
0.000 0.000 0.000
0.000 0.000 0.143
0.000 0.000 0.286
0.000 0.000 0.571
0.000 0.000 0.786
0.333 0.667 0.214
0.333 0.667 0.429
0.333 0.667 0.643
0.333 0.667 0.929
0.667 0.333 0.071
0.667 0.333 0.357
0.667 0.333 0.500
0.667 0.333 0.714
0.667 0.333 0.857
0.000 0.000 0.053
0.000 0.000 0.196
0.000 0.000 0.339
0.000 0.000 0.625
0.000 0.000 0.839
0.333 0.667 0.268
0.333 0.667 0.482
0.333 0.667 0.696
0.333 0.667 0.982
0.667 0.333 0.125
0.667 0.333 0.411
0.667 0.333 0.554
0.667 0.333 0.768
0.667 0.333 0.911
```

Output
E_form (kJ per mole of atoms): -92.8
E (eV per atom): -9.434

---

# 12
Density functional theory data (r2SCAN) for an optimized crystal structure of ZnS.

The structure in POSCAR format:
```
ZnS
1.0
3.808 0.000 0.000
-1.904 3.298 0.000
0.000 0.000 56.036
Zn S
18 18
direct
0.000 0.000 0.000
0.000 0.000 0.111
0.000 0.000 0.278
0.000 0.000 0.389
0.000 0.000 0.556
0.000 0.000 0.722
0.000 0.000 0.833
0.333 0.667 0.056
0.333 0.667 0.222
0.333 0.667 0.445
0.333 0.667 0.667
0.333 0.667 0.889
0.667 0.333 0.167
0.667 0.333 0.333
0.667 0.333 0.500
0.667 0.333 0.611
0.667 0.333 0.778
0.667 0.333 0.944
0.000 0.000 0.042
0.000 0.000 0.153
0.000 0.000 0.319
0.000 0.000 0.431
0.000 0.000 0.597
0.000 0.000 0.764
0.000 0.000 0.875
0.333 0.667 0.097
0.333 0.667 0.264
0.333 0.667 0.486
0.333 0.667 0.708
0.333 0.667 0.931
0.667 0.333 0.208
0.667 0.333 0.375
0.667 0.333 0.542
0.667 0.333 0.653
0.667 0.333 0.820
0.667 0.333 0.986
```

Output
E_form (kJ per mole of atoms): -92.8
E (eV per atom): -9.435